Ba2MnMoO6 | PBE+U | relaxed

abc: 5.8814 5.8814 10.1868
angles: 106.78 73.22 120.00
Sites, in units of the cell vectors:
Ba1 0.8750 0.1250 0.3750
Ba2 0.3750 0.6250 0.8750
Ba3 0.6250 0.3750 0.1250
Ba4 0.1250 0.8750 0.6250
Mn1 0.5000 0.5000 0.5000
Mn2 0.0000 0.0000 0.0000
Mo1 0.7500 0.2500 0.7500
Mo2 0.2500 0.7500 0.2500
O1 0.3677 0.1031 0.3677
O2 0.8677 0.6031 0.8677
O3 0.1323 0.8677 0.1323
O4 0.6323 0.3677 0.6323
O5 0.3677 0.6323 0.3677
O6 0.8677 0.1323 0.8677
O7 0.8969 0.6323 0.3677
O8 0.3969 0.1323 0.8677
O9 0.1323 0.3969 0.1323
O10 0.6323 0.8969 0.6323
O11 0.6031 0.8677 0.1323
O12 0.1031 0.3677 0.6323

Values from the calculation:
As for the MP2020-corrected energy: -7.9830 eV per atom.


LiMgAlMo3O12 | PBE+U | relaxed

abc: 6.7988 6.8841 11.5311
angles: 77.68 85.95 78.14
Sites, in units of the cell vectors:
Li1 0.1753 0.4372 0.0873
Li2 0.8247 0.5628 0.9127
Mg1 0.1987 0.8405 0.4777
Mg2 0.8013 0.1595 0.5223
Al1 0.1971 0.2301 0.8721
Al2 0.8029 0.7699 0.1279
Mo1 0.2442 0.3018 0.5543
Mo2 0.2497 0.9057 0.1442
Mo3 0.2984 0.7133 0.8139
Mo4 0.7016 0.2867 0.1861
Mo5 0.7503 0.0943 0.8558
Mo6 0.7558 0.6982 0.4457
O1 0.0975 0.7320 0.1146
O2 0.1122 0.1371 0.4990
O3 0.1677 0.5070 0.8957
O4 0.1822 0.3120 0.7086
O5 0.1869 0.9477 0.2880
O6 0.2012 0.1522 0.0424
O7 0.2029 0.5488 0.4611
O8 0.2146 0.9500 0.8656
O9 0.2501 0.7567 0.6619
O10 0.4413 0.3603 0.1676
O11 0.4869 0.1992 0.8654
O12 0.5002 0.1926 0.5457
O13 0.4998 0.8074 0.4543
O14 0.5131 0.8008 0.1346
O15 0.5587 0.6397 0.8324
O16 0.7499 0.2433 0.3381
O17 0.7854 0.0500 0.1344
O18 0.7971 0.4512 0.5389
O19 0.7988 0.8478 0.9576
O20 0.8131 0.0523 0.7120
O21 0.8178 0.6881 0.2914
O22 0.8323 0.4930 0.1043
O23 0.8878 0.8629 0.5010
O24 0.9025 0.2680 0.8854

Values from the calculation:
As for the MP2020-corrected energy: -7.8911 eV per atom. Its symmetry is P-1 (2).


MoH6NO3F2 | PBE+U | relaxed

abc: 8.5908 8.5908 7.9910
angles: 102.60 102.60 113.19
Sites, in units of the cell vectors:
Mo1 0.0106 0.7240 0.7632
Mo2 0.2760 0.9894 0.7368
Mo3 0.7240 0.0106 0.2632
Mo4 0.9894 0.2760 0.2368
H1 0.0779 0.1915 0.6224
H2 0.1202 0.7045 0.1611
H3 0.1296 0.2407 0.8426
H4 0.1915 0.0779 0.1224
H5 0.2407 0.1296 0.3426
H6 0.2488 0.6658 0.3249
H7 0.2955 0.8798 0.3389
H8 0.3342 0.7512 0.1751
H9 0.3710 0.5330 0.6338
H10 0.4130 0.4156 0.2614
H11 0.4156 0.4130 0.7614
H12 0.4670 0.6290 0.8662
H13 0.5330 0.3710 0.1338
H14 0.5844 0.5870 0.2386
H15 0.5870 0.5844 0.7386
H16 0.6290 0.4670 0.3662
H17 0.6658 0.2488 0.8249
H18 0.7045 0.1202 0.6611
H19 0.7512 0.3342 0.6751
H20 0.7593 0.8704 0.6574
H21 0.8085 0.9221 0.8776
H22 0.8704 0.7593 0.1574
H23 0.8798 0.2955 0.8389
H24 0.9221 0.8085 0.3776
N1 0.2491 0.7509 0.2500
N2 0.4605 0.5395 0.7500
N3 0.5395 0.4605 0.2500
N4 0.7509 0.2491 0.7500
O1 0.0412 0.8049 0.5544
O2 0.1052 0.5819 0.7673
O3 0.1584 0.1915 0.7361
O4 0.1915 0.1584 0.2361
O5 0.1951 0.9588 0.9456
O6 0.4181 0.8948 0.7327
O7 0.5819 0.1052 0.2673
O8 0.8049 0.0412 0.0544
O9 0.8085 0.8416 0.7639
O10 0.8416 0.8085 0.2639
O11 0.8948 0.4181 0.2327
O12 0.9588 0.1951 0.4456
F1 0.0814 0.3289 0.0249
F2 0.2406 0.4857 0.4079
F3 0.3289 0.0814 0.5249
F4 0.4857 0.2407 0.9079
F5 0.5143 0.7593 0.0921
F6 0.6711 0.9186 0.4751
F7 0.7593 0.5143 0.5921
F8 0.9186 0.6711 0.9751

Values from the calculation:
As for the MP2020-corrected energy: -5.8959 eV per atom. Its symmetry is C2/c (15).


La2TiCrO6 | PBE+U | relaxed

abc: 7.9243 8.0353 9.6329
angles: 113.60 112.97 91.48
Sites, in units of the cell vectors:
La1 0.0009 0.2460 0.4983
La2 0.2486 0.5035 0.0006
La3 0.2546 0.9976 0.9992
La4 0.4902 0.2514 0.4972
La5 0.5098 0.7486 0.5028
La6 0.7454 0.0024 0.0008
La7 0.7514 0.4965 0.9994
La8 0.9991 0.7540 0.5017
Ti1 0.1248 0.3775 0.2503
Ti2 0.3755 0.1257 0.7511
Ti3 0.6245 0.8743 0.2489
Ti4 0.8752 0.6225 0.7497
Cr1 0.1232 0.8728 0.2489
Cr2 0.3735 0.6237 0.7498
Cr3 0.6265 0.3763 0.2502
Cr4 0.8768 0.1272 0.7511
O1 0.0293 0.7037 0.9966
O2 0.0536 0.1261 0.2163
O3 0.1101 0.5573 0.7212
O4 0.1543 0.1844 0.7899
O5 0.2027 0.6280 0.2890
O6 0.2130 0.0394 0.5029
O7 0.2755 0.4616 0.5011
O8 0.3144 0.8582 0.7214
O9 0.3627 0.3101 0.2226
O10 0.4012 0.9349 0.2841
O11 0.4350 0.3922 0.7811
O12 0.4632 0.7812 0.9985
O13 0.5368 0.2188 0.0015
O14 0.5650 0.6078 0.2189
O15 0.5988 0.0651 0.7159
O16 0.6373 0.6899 0.7774
O17 0.6856 0.1418 0.2786
O18 0.7245 0.5384 0.4989
O19 0.7870 0.9606 0.4971
O20 0.7973 0.3720 0.7110
O21 0.8457 0.8156 0.2101
O22 0.8899 0.4427 0.2788
O23 0.9464 0.8739 0.7837
O24 0.9707 0.2963 0.0034

Values from the calculation:
As for the MP2020-corrected energy: -9.1108 eV per atom. For the distance to the lowest polymorph of the same formula, the calculation gives 1 meV/atom. Its symmetry is P-1 (2).


V2SiO4 | PBE+U | relaxed

abc: 6.2107 4.9163 10.6730
angles: 90.00 90.15 90.00
Sites, in units of the cell vectors:
V1 0.0000 0.0000 0.0000
V2 0.0000 0.5000 0.5000
V3 0.2489 0.0059 0.2740
V4 0.2489 0.4941 0.7740
V5 0.5000 0.0000 0.0000
V6 0.5000 0.5000 0.5000
V7 0.7511 0.5059 0.2260
V8 0.7511 0.9941 0.7260
Si1 0.2504 0.5718 0.0950
Si2 0.2504 0.9282 0.5950
Si3 0.7496 0.0718 0.4050
Si4 0.7496 0.4282 0.9050
O1 0.0384 0.7187 0.1616
O2 0.0384 0.7813 0.6616
O3 0.2500 0.7068 0.9513
O4 0.2500 0.7932 0.4513
O5 0.2505 0.2390 0.0953
O6 0.2505 0.2610 0.5953
O7 0.4620 0.7203 0.1618
O8 0.4620 0.7797 0.6618
O9 0.5380 0.2203 0.3382
O10 0.5380 0.2797 0.8382
O11 0.7495 0.7390 0.4047
O12 0.7495 0.7610 0.9047
O13 0.7500 0.2068 0.5487
O14 0.7500 0.2932 0.0487
O15 0.9616 0.2187 0.3384
O16 0.9616 0.2813 0.8384

Values from the calculation:
As for the MP2020-corrected energy: -8.8370 eV per atom. For the distance to the lowest polymorph of the same formula, the calculation gives 0 meV/atom. Its symmetry is P2_1/c (14).


NaMn3V4O12 | PBE+U | relaxed

abc: 6.4817 6.5228 10.5579
angles: 88.78 88.70 70.89
Sites, in units of the cell vectors:
Na1 0.2498 0.2502 0.2498
Na2 0.7502 0.7498 0.7502
Mn1 0.0000 0.0000 0.0000
Mn2 0.0000 0.0000 0.5000
Mn3 0.2490 0.2483 0.7495
Mn4 0.5000 0.5000 0.0000
Mn5 0.5000 0.5000 0.5000
Mn6 0.7510 0.7517 0.2505
V1 0.0000 0.5000 0.0000
V2 0.0000 0.5000 0.5000
V3 0.2498 0.7485 0.7499
V4 0.2507 0.7500 0.2499
V5 0.5000 0.0000 0.0000
V6 0.5000 0.0000 0.5000
V7 0.7493 0.2500 0.7501
V8 0.7502 0.2515 0.2501
O1 0.0117 0.0006 0.3143
O2 0.0320 0.6666 0.1597
O3 0.0964 0.7134 0.8940
O4 0.1582 0.5231 0.6580
O5 0.1878 0.1833 0.4956
O6 0.2073 0.5840 0.4019
O7 0.2976 0.9145 0.0995
O8 0.3120 0.3164 0.0051
O9 0.3413 0.9747 0.8425
O10 0.4037 0.7832 0.6043
O11 0.4696 0.8346 0.3404
O12 0.4879 0.4991 0.1860
O13 0.5121 0.5009 0.8140
O14 0.5304 0.1654 0.6596
O15 0.5963 0.2168 0.3957
O16 0.6587 0.0253 0.1575
O17 0.6880 0.6836 0.9949
O18 0.7024 0.0855 0.9005
O19 0.7927 0.4160 0.5981
O20 0.8122 0.8167 0.5044
O21 0.8418 0.4769 0.3420
O22 0.9036 0.2866 0.1060
O23 0.9680 0.3334 0.8403
O24 0.9883 0.9994 0.6857

Values from the calculation:
As for the MP2020-corrected energy: -8.5365 eV per atom. For the distance to the lowest polymorph of the same formula, the calculation gives 0 meV/atom. Its symmetry is P-1 (2).


LiFeF5 | PBE+U | relaxed

abc: 9.1774 5.3835 7.9851
angles: 90.00 90.00 90.00
Sites, in units of the cell vectors:
Li1 0.0190 0.2500 0.1995
Li2 0.4810 0.7500 0.6995
Li3 0.5190 0.2500 0.3005
Li4 0.9810 0.7500 0.8005
Fe1 0.2235 0.2500 0.5970
Fe2 0.2765 0.7500 0.0970
Fe3 0.7235 0.2500 0.9030
Fe4 0.7765 0.7500 0.4030
F1 0.1061 0.0175 0.6825
F2 0.1061 0.4825 0.6825
F3 0.1351 0.5196 0.0710
F4 0.1351 0.9804 0.0710
F5 0.1618 0.2500 0.3773
F6 0.3382 0.7500 0.8773
F7 0.3649 0.0196 0.5710
F8 0.3649 0.4804 0.5710
F9 0.3939 0.5175 0.1825
F10 0.3939 0.9825 0.1825
F11 0.6061 0.0175 0.8175
F12 0.6061 0.4825 0.8175
F13 0.6351 0.5196 0.4290
F14 0.6351 0.9804 0.4290
F15 0.6618 0.2500 0.1227
F16 0.8382 0.7500 0.6227
F17 0.8649 0.0196 0.9290
F18 0.8649 0.4804 0.9290
F19 0.8939 0.5175 0.3175
F20 0.8939 0.9825 0.3175

Values from the calculation:
As for the MP2020-corrected energy: -5.2545 eV per atom. For the distance to the lowest polymorph of the same formula, the calculation gives 50 meV/atom. Its symmetry is Pnma (62).


CrO | PBE+U | relaxed

abc: 3.0977 6.3508 6.1144
angles: 67.23 83.24 108.94
Sites, in units of the cell vectors:
Cr1 0.6003 0.5003 0.8999
Cr2 0.5996 0.0000 0.3999
Cr3 0.1003 0.0003 0.8999
Cr4 0.0997 0.5000 0.3999
O1 0.9525 0.3675 0.1476
O2 0.4524 0.8675 0.1476
O3 0.7476 0.1322 0.6526
O4 0.2476 0.6322 0.6527

Values from the calculation:
As for the MP2020-corrected energy: -9.2235 eV per atom.


Na2V6O15 | PBE+U | relaxed

abc: 8.1024 8.1024 10.6182
angles: 102.75 102.75 26.15
Sites, in units of the cell vectors:
Na1 0.0000 0.0000 0.0000
Na2 0.0851 0.0851 0.6925
V1 0.2174 0.2174 0.2444
V2 0.2587 0.2587 0.9413
V3 0.4387 0.4387 0.2480
V4 0.6613 0.6613 0.4566
V5 0.8263 0.8263 0.7527
V6 0.8675 0.8675 0.4425
O1 0.1204 0.1204 0.1508
O2 0.1515 0.1515 0.9053
O3 0.1721 0.1721 0.4168
O4 0.2838 0.2838 0.1274
O5 0.2863 0.2863 0.7684
O6 0.3547 0.3547 0.3872
O7 0.4494 0.4494 0.0951
O8 0.5424 0.5424 0.3448
O9 0.6375 0.6375 0.6015
O10 0.7326 0.7326 0.2998
O11 0.7944 0.7944 0.9299
O12 0.7960 0.7960 0.5551
O13 0.9099 0.9099 0.2727
O14 0.9341 0.9341 0.7895
O15 0.9629 0.9629 0.5404

Values from the calculation:
As for the MP2020-corrected energy: -8.0537 eV per atom. For the distance to the lowest polymorph of the same formula, the calculation gives 0 meV/atom. Its symmetry is Cm (8).


Ca2MnAl2Si4BO16 | PBE+U | relaxed

abc: 7.2354 9.0571 9.2623
angles: 88.10 76.96 81.87
Sites, in units of the cell vectors:
Ca1 0.1826 0.4152 0.0972
Ca2 0.2445 0.8938 0.6592
Ca3 0.7555 0.1062 0.3408
Ca4 0.8174 0.5848 0.9028
Mn1 0.2337 0.6109 0.4032
Mn2 0.7663 0.3891 0.5968
Al1 0.0490 0.2433 0.8061
Al2 0.3469 0.0792 0.9381
Al3 0.6531 0.9208 0.0619
Al4 0.9510 0.7567 0.1939
Si1 0.2104 0.2612 0.4511
Si2 0.2209 0.9735 0.2752
Si3 0.2966 0.5125 0.7434
Si4 0.3575 0.7317 0.9795
Si5 0.6425 0.2683 0.0205
Si6 0.7034 0.4875 0.2566
Si7 0.7791 0.0265 0.7248
Si8 0.7896 0.7388 0.5489
B1 0.4600 0.2137 0.6335
B2 0.5400 0.7863 0.3665
O1 0.0234 0.9319 0.2463
O2 0.0551 0.3126 0.6048
O3 0.1027 0.1882 0.9915
O4 0.1208 0.4340 0.8457
O5 0.1343 0.1237 0.3784
O6 0.2095 0.6755 0.1274
O7 0.2259 0.6384 0.6324
O8 0.2304 0.3989 0.3363
O9 0.2842 0.8859 0.8984
O10 0.3256 0.1460 0.7447
O11 0.3292 0.8505 0.3796
O12 0.3814 0.0037 0.1280
O13 0.3936 0.5894 0.8624
O14 0.4202 0.1881 0.4861
O15 0.4377 0.2563 0.9817
O16 0.4606 0.3787 0.6546
O17 0.5394 0.6213 0.3454
O18 0.5623 0.7437 0.0183
O19 0.5798 0.8119 0.5139
O20 0.6064 0.4106 0.1376
O21 0.6186 0.9963 0.8720
O22 0.6708 0.1495 0.6204
O23 0.6744 0.8540 0.2553
O24 0.7158 0.1141 0.1016
O25 0.7696 0.6011 0.6637
O26 0.7741 0.3616 0.3676
O27 0.7905 0.3245 0.8726
O28 0.8657 0.8763 0.6216
O29 0.8792 0.5660 0.1543
O30 0.8973 0.8118 0.0085
O31 0.9449 0.6874 0.3952
O32 0.9766 0.0681 0.7537

Values from the calculation:
As for the MP2020-corrected energy: -8.0829 eV per atom. Its symmetry is P-1 (2).


Li9Mn2Co5O16 | PBE+U | relaxed

abc: 19.3271 19.3271 5.1988
angles: 90.95 90.95 8.56
Sites, in units of the cell vectors:
Li1 0.0000 0.0000 0.0000
Li2 0.1272 0.1272 0.3755
Li3 0.2534 0.2534 0.7636
Li4 0.3130 0.3130 0.4365
Li5 0.3717 0.3717 0.1120
Li6 0.5013 0.5013 0.4987
Li7 0.6264 0.6264 0.8744
Li8 0.7526 0.7526 0.2551
Li9 0.8728 0.8728 0.6176
Mn1 0.5634 0.5634 0.1879
Mn2 0.9371 0.9371 0.3092
Co1 0.0634 0.0634 0.6884
Co2 0.1887 0.1887 0.0646
Co3 0.4379 0.4379 0.8081
Co4 0.6892 0.6892 0.5646
Co5 0.8130 0.8130 0.9371
O1 0.0342 0.0342 0.3240
O2 0.0923 0.0923 0.0505
O3 0.1599 0.1599 0.7185
O4 0.2180 0.2180 0.4074
O5 0.2857 0.2857 0.0782
O6 0.3405 0.3405 0.7962
O7 0.4082 0.4082 0.4471
O8 0.4667 0.4667 0.1753
O9 0.5349 0.5349 0.8173
O10 0.5916 0.5916 0.5577
O11 0.6597 0.6597 0.2223
O12 0.7169 0.7169 0.9097
O13 0.7862 0.7862 0.6466
O14 0.8401 0.8401 0.2287
O15 0.9102 0.9102 0.9403
O16 0.9662 0.9662 0.6773

Values from the calculation:
As for the MP2020-corrected energy: -6.4950 eV per atom. For the distance to the lowest polymorph of the same formula, the calculation gives 63 meV/atom. Its symmetry is Cm (8).